1.
Computed, not measured: GaAs after structural relaxation at the GGA-PBE level of DFT.

E_form in eV/f.u.: 0.115
Total magnetic moment in μB per formula unit: 0.00
DFT total energy in eV/atom: -3.786

abc: 12.074 13.776 14.243
angles: 90.86 93.94 90.18
Space group P1 (No. 1)
Unique sites:
Ga  0.000  0.000  0.000
Ga  0.000  0.371  0.661
Ga  0.055  0.236  0.218
Ga  0.055  0.660  0.178
Ga  0.073  0.425  0.135
Ga  0.086  0.706  0.644
Ga  0.093  0.851  0.303
Ga  0.107  0.693  0.423
Ga  0.150  0.428  0.434
Ga  0.230  0.145  0.386
Ga  0.236  0.869  0.844
Ga  0.254  0.281  0.159
Ga  0.255  0.478  0.681
Ga  0.310  0.719  0.926
Ga  0.320  0.922  0.431
Ga  0.329  0.865  0.063
Ga  0.344  0.639  0.298
Ga  0.397  0.611  0.715
Ga  0.414  0.297  0.852
Ga  0.438  0.400  0.998
Ga  0.444  0.015  0.321
Ga  0.462  0.050  0.842
Ga  0.471  0.052  0.582
Ga  0.483  0.862  0.630
Ga  0.495  0.265  0.406
Ga  0.546  0.850  0.453
Ga  0.562  0.575  0.148
Ga  0.573  0.311  0.219
Ga  0.664  0.384  0.888
Ga  0.666  0.230  0.001
Ga  0.704  0.970  0.969
Ga  0.723  0.165  0.606
Ga  0.733  0.669  0.985
Ga  0.741  0.930  0.478
Ga  0.756  0.122  0.862
Ga  0.802  0.729  0.295
Ga  0.819  0.322  0.536
Ga  0.828  0.967  0.773
Ga  0.830  0.145  0.424
Ga  0.845  0.290  0.770
Ga  0.852  0.760  0.714
Ga  0.855  0.332  0.335
Ga  0.862  0.308  0.141
Ga  0.862  0.403  0.958
Ga  0.863  0.503  0.471
Ga  0.886  0.037  0.272
Ga  0.923  0.742  0.506
Ga  0.926  0.181  0.980
Ga  0.939  0.781  0.083
Ga  0.989  0.140  0.712
As  0.028  0.896  0.854
As  0.049  0.330  0.960
As  0.069  0.262  0.407
As  0.072  0.519  0.572
As  0.109  0.041  0.258
As  0.125  0.407  0.815
As  0.129  0.236  0.595
As  0.133  0.622  0.902
As  0.152  0.113  0.864
As  0.158  0.557  0.308
As  0.185  0.004  0.100
As  0.188  0.576  0.067
As  0.221  0.253  0.779
As  0.263  0.056  0.537
As  0.267  0.149  0.025
As  0.276  0.021  0.764
As  0.308  0.745  0.475
As  0.308  0.766  0.653
As  0.326  0.314  0.619
As  0.333  0.825  0.249
As  0.356  0.388  0.466
As  0.365  0.667  0.115
As  0.378  0.182  0.276
As  0.411  0.413  0.166
As  0.432  0.555  0.496
As  0.470  0.117  0.007
As  0.488  0.675  0.864
As  0.523  0.951  0.066
As  0.540  0.797  0.276
As  0.551  0.557  0.357
As  0.555  0.338  0.737
As  0.568  0.557  0.633
As  0.572  0.538  0.955
As  0.586  0.157  0.739
As  0.594  0.927  0.770
As  0.595  0.113  0.457
As  0.604  0.964  0.233
As  0.640  0.721  0.596
As  0.642  0.390  0.376
As  0.707  0.187  0.171
As  0.720  0.650  0.447
As  0.725  0.816  0.864
As  0.731  0.784  0.133
As  0.770  0.484  0.169
As  0.845  0.949  0.109
As  0.861  0.025  0.601
As  0.890  0.557  0.053
As  0.896  0.874  0.374
As  0.897  0.563  0.294
As  0.967  0.737  0.910

2.
Computed, not measured: GaAs after structural relaxation at the GGA-PBE level of DFT.

E_form in eV/f.u.: 0.142
Total magnetic moment in μB per formula unit: 0.02
DFT total energy in eV/atom: -3.773

abc: 2.715 2.715 5.464
angles: 90.00 90.00 90.00
Space group P4/mmm (No. 123)
Unique sites:
Ga  0.000  0.000  0.000
As  0.000  0.000  0.500

Question: The lowest E_form belongs to which entry?
Answer: number 1